Compound: NaMn2Mo2H3O10
Source: the Materials Project database
Functional: PBE+U
Structure: relaxed

The value obtained for the formation energy is -1.6297 eV per atom. Its polymorph energy (0 for the lowest one) is 0.269 eV per atom. The value obtained for the spin magnetization is 10.00 μB per formula unit. As for the calculated volume: 467 Å³ per cell.

The structure belongs to space group C2 (No. 5); the cell edges are 10.293, 7.941 and 7.346 Å and the angles 90.00°, 128.92° and 90.00°. The distinct sites, in fractional coordinates, are Na at (0.000, 0.000, 0.000), Mn at (0.184, 0.130, 0.791), Mo at (0.019, 0.452, 0.307), H at (0.000, 0.926, 0.500), H at (0.151, 0.986, 0.478), O at (0.029, 0.954, 0.687), O at (0.049, 0.252, 0.854), O at (0.091, 0.628, 0.884), O at (0.161, 0.400, 0.650) and O at (0.232, 0.520, 0.362).